1.
This record from the Materials Project database describes a geometry-optimized NbGa3P2S4O24 structure. The functional is PBE.

abc: 8.536 8.545 22.118
angles: 89.61 89.74 60.18
Fractional coordinates of all 102 atoms:
1 Nb 0.000 0.000 0.000
2 Nb 0.019 0.986 0.503
3 Nb 0.347 0.326 0.338
4 Ga 0.009 0.987 0.789
5 Ga 0.012 0.993 0.294
6 Ga 0.347 0.331 0.625
7 Ga 0.354 0.319 0.830
8 Ga 0.354 0.324 0.124
9 Ga 0.672 0.661 0.666
10 Ga 0.673 0.655 0.455
11 Ga 0.676 0.659 0.956
12 Ga 0.682 0.651 0.165
13 P 0.000 0.712 0.394
14 P 0.305 0.980 0.393
15 P 0.405 0.646 0.563
16 P 0.669 0.385 0.062
17 P 0.717 0.989 0.891
18 P 0.736 0.281 0.394
19 S 0.013 0.286 0.892
20 S 0.056 0.324 0.226
21 S 0.056 0.614 0.728
22 S 0.304 0.700 0.893
23 S 0.344 0.621 0.226
24 S 0.345 0.036 0.728
25 S 0.395 0.949 0.062
26 S 0.638 0.325 0.728
27 S 0.641 0.030 0.226
28 S 0.671 0.948 0.563
29 S 0.970 0.377 0.563
30 S 0.970 0.650 0.062
31 O 0.039 0.163 0.234
32 O 0.041 0.793 0.735
33 O 0.047 0.167 0.948
34 O 0.047 0.789 0.450
35 O 0.136 0.500 0.783
36 O 0.142 0.355 0.280
37 O 0.151 0.494 0.070
38 O 0.153 0.348 0.570
39 O 0.170 0.535 0.674
40 O 0.171 0.293 0.172
41 O 0.175 0.523 0.385
42 O 0.177 0.300 0.886
43 O 0.182 0.026 0.450
44 O 0.183 0.018 0.736
45 O 0.184 0.797 0.235
46 O 0.189 0.786 0.948
47 O 0.212 0.819 0.553
48 O 0.214 0.965 0.053
49 O 0.222 0.954 0.336
50 O 0.225 0.817 0.839
51 O 0.311 0.538 0.173
52 O 0.312 0.150 0.673
53 O 0.317 0.523 0.886
54 O 0.318 0.156 0.385
55 O 0.370 0.130 0.070
56 O 0.371 0.488 0.571
57 O 0.378 0.501 0.280
58 O 0.380 0.115 0.782
59 O 0.470 0.834 0.117
60 O 0.475 0.695 0.619
61 O 0.482 0.684 0.902
62 O 0.492 0.826 0.403
63 O 0.505 0.872 0.008
64 O 0.509 0.634 0.220
65 O 0.509 0.857 0.721
66 O 0.512 0.350 0.070
67 O 0.512 0.621 0.505
68 O 0.515 0.128 0.571
69 O 0.523 0.115 0.281
70 O 0.523 0.362 0.782
71 O 0.536 0.161 0.885
72 O 0.545 0.297 0.384
73 O 0.559 0.146 0.172
74 O 0.560 0.288 0.674
75 O 0.645 0.492 0.004
76 O 0.646 0.869 0.508
77 O 0.654 0.853 0.219
78 O 0.658 0.486 0.720
79 O 0.706 0.822 0.906
80 O 0.707 0.467 0.403
81 O 0.716 0.832 0.617
82 O 0.718 0.454 0.118
83 O 0.812 0.022 0.949
84 O 0.812 0.159 0.450
85 O 0.818 0.015 0.235
86 O 0.818 0.164 0.736
87 O 0.836 0.968 0.555
88 O 0.842 0.200 0.336
89 O 0.843 0.191 0.052
90 O 0.844 0.682 0.406
91 O 0.845 0.954 0.838
92 O 0.853 0.461 0.902
93 O 0.855 0.695 0.116
94 O 0.856 0.450 0.617
95 O 0.876 0.633 0.720
96 O 0.879 0.490 0.220
97 O 0.892 0.623 0.007
98 O 0.893 0.484 0.508
99 O 0.975 0.820 0.337
100 O 0.981 0.201 0.839
101 O 0.986 0.194 0.555
102 O 0.992 0.814 0.054

Formation energy in eV/f.u.: -75.19
Total energy after the MP2020 corrections in eV/atom: -7.074
Uncorrected energy in eV per atom: -6.59

***

2.
This record from the Materials Project database describes a geometry-optimized Er2TiO5 structure. The functional is PBE.

abc: 7.450 3.608 15.438
angles: 90.00 90.00 90.00
Fractional coordinates of all 32 atoms:
1 Er 0.101 0.250 0.084
2 Er 0.162 0.250 0.737
3 Er 0.338 0.750 0.237
4 Er 0.399 0.750 0.584
5 Er 0.601 0.250 0.416
6 Er 0.662 0.250 0.763
7 Er 0.838 0.750 0.263
8 Er 0.899 0.750 0.916
9 Ti 0.114 0.250 0.423
10 Ti 0.386 0.750 0.923
11 Ti 0.614 0.250 0.077
12 Ti 0.886 0.750 0.577
13 O 0.069 0.750 0.174
14 O 0.074 0.750 0.453
15 O 0.122 0.750 0.648
16 O 0.157 0.750 0.995
17 O 0.246 0.250 0.322
18 O 0.254 0.750 0.822
19 O 0.343 0.250 0.495
20 O 0.378 0.250 0.148
21 O 0.426 0.250 0.953
22 O 0.431 0.250 0.674
23 O 0.569 0.750 0.326
24 O 0.574 0.750 0.047
25 O 0.622 0.750 0.852
26 O 0.657 0.750 0.505
27 O 0.746 0.250 0.178
28 O 0.754 0.750 0.678
29 O 0.843 0.250 0.005
30 O 0.878 0.250 0.352
31 O 0.926 0.250 0.547
32 O 0.931 0.250 0.826

Offset from the most stable computed form in kJ per mole of atoms: 3.7
Formation energy in eV/f.u.: -30.90
Total energy after the MP2020 corrections in eV/atom: -9.084
Uncorrected energy in eV per atom: -8.65

***

3.
This record from the Materials Project database describes a geometry-optimized MoW3Se2S6 structure. The functional is PBE.

abc: 3.222 3.222 36.377
angles: 90.00 90.00 120.00
Fractional coordinates of all 12 atoms:
1 Mo 0.000 0.000 0.000
2 W 0.000 0.000 0.376
3 W 0.333 0.667 0.188
4 W 0.333 0.667 0.564
5 Se 0.000 0.000 0.516
6 Se 0.000 0.000 0.611
7 S 0.000 0.000 0.145
8 S 0.000 0.000 0.231
9 S 0.333 0.667 0.043
10 S 0.333 0.667 0.333
11 S 0.333 0.667 0.419
12 S 0.333 0.667 0.957

Offset from the most stable computed form in kJ per mole of atoms: 1.7
Formation energy in eV/f.u.: -12.06
Total energy after the MP2020 corrections in eV/atom: -7.800
Uncorrected energy in eV per atom: -7.55

***

4.
This record from the Materials Project database describes a geometry-optimized FeH4Br3N structure. The functional is PBE.

abc: 7.493 7.493 6.142
angles: 90.00 90.00 120.00
Fractional coordinates of all 18 atoms:
1 Fe 0.000 0.000 0.000
2 Fe 0.000 0.000 0.500
3 H 0.200 0.666 0.279
4 H 0.333 0.667 0.059
5 H 0.334 0.534 0.279
6 H 0.466 0.800 0.279
7 H 0.534 0.200 0.779
8 H 0.666 0.466 0.779
9 H 0.667 0.333 0.559
10 H 0.800 0.334 0.779
11 Br 0.121 0.324 0.752
12 Br 0.204 0.879 0.752
13 Br 0.324 0.204 0.252
14 Br 0.676 0.796 0.752
15 Br 0.796 0.121 0.252
16 Br 0.879 0.676 0.252
17 N 0.333 0.667 0.227
18 N 0.667 0.333 0.727

Formation energy in eV/f.u.: -4.93
Total energy after the MP2020 corrections in eV/atom: -4.469
Uncorrected energy in eV per atom: -4.43

***

5.
This record from the Materials Project database describes a geometry-optimized Na4CaZnSiS2O12 structure. The functional is PBE.

abc: 9.374 9.376 22.592
angles: 90.70 90.75 119.86
Fractional coordinates of all 126 atoms:
1 Na 0.000 0.000 0.000
2 Na 0.000 0.049 0.655
3 Na 0.002 0.340 0.158
4 Na 0.013 0.388 0.495
5 Na 0.299 0.030 0.511
6 Na 0.305 0.661 0.016
7 Na 0.338 0.340 0.578
8 Na 0.341 0.387 0.082
9 Na 0.347 0.725 0.323
10 Na 0.348 0.018 0.818
11 Na 0.354 0.036 0.167
12 Na 0.356 0.708 0.665
13 Na 0.608 0.300 0.665
14 Na 0.610 0.700 0.163
15 Na 0.639 0.989 0.251
16 Na 0.640 0.040 0.746
17 Na 0.660 0.644 0.493
18 Na 0.665 0.406 0.994
19 Na 0.689 0.696 0.847
20 Na 0.691 0.369 0.347
21 Na 0.943 0.984 0.339
22 Na 0.945 0.356 0.833
23 Na 0.959 0.675 0.920
24 Na 0.967 0.680 0.420
25 Ca 0.334 0.348 0.731
26 Ca 0.338 0.382 0.235
27 Ca 0.342 0.365 0.932
28 Ca 0.659 0.014 0.904
29 Ca 0.991 0.690 0.265
30 Ca 0.993 0.692 0.761
31 Zn 0.373 0.369 0.427
32 Zn 0.624 0.027 0.592
33 Zn 0.627 0.990 0.096
34 Zn 0.662 0.029 0.407
35 Zn 0.984 0.681 0.568
36 Zn 0.988 0.688 0.071
37 Si 0.291 0.697 0.163
38 Si 0.291 0.983 0.661
39 Si 0.636 0.680 0.338
40 Si 0.642 0.356 0.833
41 Si 0.665 0.327 0.499
42 Si 0.672 0.719 0.004
43 S 0.020 0.055 0.833
44 S 0.025 0.352 0.336
45 S 0.322 0.659 0.832
46 S 0.327 0.061 0.335
47 S 0.352 0.020 0.001
48 S 0.359 0.722 0.498
49 S 0.689 0.378 0.163
50 S 0.690 0.700 0.661
51 S 0.957 0.026 0.500
52 S 0.961 0.327 0.003
53 S 0.989 0.382 0.662
54 S 0.992 0.997 0.165
55 O 0.003 0.482 0.610
56 O 0.006 0.912 0.111
57 O 0.010 0.891 0.830
58 O 0.011 0.505 0.334
59 O 0.103 0.154 0.780
60 O 0.103 0.335 0.281
61 O 0.115 0.140 0.887
62 O 0.124 0.177 0.498
63 O 0.126 0.364 0.389
64 O 0.127 0.340 0.002
65 O 0.146 0.376 0.666
66 O 0.149 0.159 0.170
67 O 0.168 0.876 0.604
68 O 0.174 0.680 0.105
69 O 0.177 0.683 0.830
70 O 0.180 0.893 0.333
71 O 0.191 0.868 0.004
72 O 0.195 0.710 0.501
73 O 0.216 0.719 0.225
74 O 0.222 0.890 0.723
75 O 0.305 0.145 0.388
76 O 0.307 0.561 0.885
77 O 0.308 0.167 0.657
78 O 0.310 0.530 0.160
79 O 0.325 0.165 0.999
80 O 0.331 0.573 0.778
81 O 0.335 0.552 0.494
82 O 0.339 0.154 0.280
83 O 0.435 0.007 0.948
84 O 0.443 0.823 0.446
85 O 0.460 0.049 0.055
86 O 0.464 0.799 0.553
87 O 0.476 0.823 0.835
88 O 0.478 0.002 0.658
89 O 0.478 0.866 0.161
90 O 0.479 0.049 0.339
91 O 0.494 0.341 0.495
92 O 0.503 0.539 0.004
93 O 0.517 0.350 0.166
94 O 0.517 0.557 0.664
95 O 0.531 0.608 0.275
96 O 0.535 0.336 0.772
97 O 0.547 0.558 0.394
98 O 0.555 0.378 0.892
99 O 0.636 0.218 0.558
100 O 0.650 0.864 0.346
101 O 0.652 0.822 0.059
102 O 0.658 0.188 0.834
103 O 0.683 0.217 0.156
104 O 0.684 0.855 0.655
105 O 0.695 0.241 0.440
106 O 0.706 0.819 0.942
107 O 0.767 0.486 0.112
108 O 0.768 0.668 0.610
109 O 0.784 0.457 0.218
110 O 0.784 0.716 0.717
111 O 0.820 0.696 0.336
112 O 0.826 0.524 0.833
113 O 0.831 0.516 0.505
114 O 0.838 0.696 0.011
115 O 0.847 0.211 0.658
116 O 0.850 0.028 0.161
117 O 0.852 0.032 0.833
118 O 0.857 0.007 0.446
119 O 0.857 0.205 0.337
120 O 0.866 0.246 0.947
121 O 0.873 0.230 0.055
122 O 0.874 0.039 0.554
123 O 0.967 0.458 0.717
124 O 0.968 0.897 0.218
125 O 0.977 0.876 0.501
126 O 0.981 0.495 0.004

Formation energy in eV/f.u.: -49.49
Total energy after the MP2020 corrections in eV/atom: -6.244
Uncorrected energy in eV per atom: -5.85

***

6.
This record from the Materials Project database describes a geometry-optimized Nd3CuSnS7 structure. The functional is PBE.

abc: 10.164 10.164 6.129
angles: 90.00 90.00 120.00
Fractional coordinates of all 24 atoms:
1 Nd 0.138 0.781 0.000
2 Nd 0.219 0.357 0.000
3 Nd 0.357 0.138 0.500
4 Nd 0.643 0.862 0.000
5 Nd 0.781 0.643 0.500
6 Nd 0.862 0.219 0.500
7 Cu 0.000 0.000 0.441
8 Cu 0.000 0.000 0.941
9 Sn 0.333 0.667 0.572
10 Sn 0.667 0.333 0.072
11 S 0.088 0.516 0.745
12 S 0.101 0.846 0.457
13 S 0.154 0.255 0.457
14 S 0.255 0.101 0.957
15 S 0.333 0.667 0.184
16 S 0.428 0.912 0.745
17 S 0.484 0.572 0.745
18 S 0.516 0.428 0.245
19 S 0.572 0.088 0.245
20 S 0.667 0.333 0.684
21 S 0.745 0.899 0.457
22 S 0.846 0.745 0.957
23 S 0.899 0.154 0.957
24 S 0.912 0.484 0.245

Formation energy in eV/f.u.: -20.79
Total energy after the MP2020 corrections in eV/atom: -6.013
Uncorrected energy in eV per atom: -5.72

***

7.
This record from the Materials Project database describes a geometry-optimized Hf3P2 structure. The functional is PBE.

abc: 10.204 3.582 9.875
angles: 90.00 90.00 90.00
Fractional coordinates of all 20 atoms:
1 Hf 0.046 0.250 0.126
2 Hf 0.125 0.750 0.565
3 Hf 0.216 0.250 0.797
4 Hf 0.284 0.750 0.297
5 Hf 0.375 0.250 0.065
6 Hf 0.454 0.750 0.626
7 Hf 0.546 0.250 0.374
8 Hf 0.625 0.750 0.935
9 Hf 0.716 0.250 0.703
10 Hf 0.784 0.750 0.203
11 Hf 0.875 0.250 0.435
12 Hf 0.954 0.750 0.874
13 P 0.027 0.750 0.321
14 P 0.193 0.750 0.000
15 P 0.307 0.250 0.500
16 P 0.473 0.250 0.821
17 P 0.527 0.750 0.179
18 P 0.693 0.750 0.500
19 P 0.807 0.250 0.000
20 P 0.973 0.250 0.679

Formation energy in eV/f.u.: -5.77
Uncorrected energy in eV per atom: -9.29

***

8.
This record from the Materials Project database describes a geometry-optimized CoC2N3 structure. The functional is PBE.

abc: 8.398 8.398 5.050
angles: 91.41 91.41 88.46
Fractional coordinates of all 24 atoms:
1 Co 0.017 0.983 0.750
2 Co 0.478 0.522 0.250
3 Co 0.522 0.478 0.750
4 Co 0.983 0.017 0.250
5 C 0.073 0.696 0.378
6 C 0.251 0.531 0.147
7 C 0.304 0.927 0.122
8 C 0.469 0.749 0.353
9 C 0.531 0.251 0.647
10 C 0.696 0.073 0.878
11 C 0.749 0.469 0.853
12 C 0.927 0.304 0.622
13 N 0.023 0.819 0.476
14 N 0.112 0.568 0.258
15 N 0.181 0.977 0.024
16 N 0.317 0.483 0.943
17 N 0.432 0.888 0.242
18 N 0.483 0.317 0.443
19 N 0.517 0.683 0.557
20 N 0.568 0.112 0.758
21 N 0.683 0.517 0.057
22 N 0.819 0.023 0.976
23 N 0.888 0.432 0.742
24 N 0.977 0.181 0.524

Offset from the most stable computed form in kJ per mole of atoms: 0.0
Formation energy in eV/f.u.: 1.92
Total energy after the MP2020 corrections in eV/atom: -8.109
Uncorrected energy in eV per atom: -7.93

***

9.
This record from the Materials Project database describes a geometry-optimized Er2Si3 structure. The functional is PBE.

abc: 3.878 3.958 6.733
angles: 90.00 90.00 90.00
Fractional coordinates of all 5 atoms:
1 Er 0.000 0.000 0.000
2 Er 0.500 0.000 0.493
3 Si 0.000 0.500 0.361
4 Si 0.500 0.500 0.153
5 Si 0.500 0.500 0.807

Formation energy in eV/f.u.: -2.80
Total energy after the MP2020 corrections in eV/atom: -5.642
Uncorrected energy in eV per atom: -5.68